Compound: Cs2Al2B2O7
Source: the Materials Project
Functional: PBE-GGA
Structure: optimized geometry

Lattice parameters (Å, degrees): 7.230 6.805 9.747 64.78 90.00 90.00
Fractional positions:
Cs 0.863 0.223 0.617
Cs 0.637 0.223 0.117
Cs 0.137 0.777 0.383
Cs 0.363 0.777 0.883
O 0.668 0.741 0.369
O 0.500 0.000 0.500
O 0.832 0.741 0.869
O 0.994 0.461 0.828
O 0.494 0.539 0.672
O 0.332 0.259 0.631
O 0.660 0.745 0.123
O 0.340 0.255 0.877
O 0.000 0.000 0.000
O 0.506 0.461 0.328
O 0.168 0.259 0.131
O 0.006 0.539 0.172
O 0.160 0.255 0.377
O 0.840 0.745 0.623
B 0.389 0.354 0.725
B 0.111 0.354 0.225
B 0.611 0.646 0.275
B 0.889 0.646 0.775
Al 0.119 0.239 0.960
Al 0.619 0.761 0.540
Al 0.381 0.239 0.460
Al 0.881 0.761 0.040

Computed properties:
raw total energy = -7.01 eV/atom


Compound: Al2Cu11B13
Source: the Materials Project
Functional: PBE-GGA
Structure: optimized geometry

Lattice parameters (Å, degrees): 8.024 8.024 8.024 90.00 90.00 90.00
Fractional positions:
B 0.751 0.249 0.008
B 0.000 0.000 0.724
B 0.000 0.724 0.000
B 0.992 0.751 0.751
B 0.771 0.771 0.771
B 0.751 0.992 0.751
B 0.008 0.751 0.249
B 0.992 0.249 0.249
B 0.249 0.249 0.992
B 0.751 0.008 0.249
B 0.249 0.751 0.008
B 0.771 0.229 0.229
B 0.751 0.751 0.992
B 0.008 0.249 0.751
B 0.229 0.229 0.771
B 0.276 0.000 0.000
B 0.135 0.135 0.135
B 0.865 0.135 0.865
B 0.000 0.000 0.276
B 0.724 0.000 0.000
B 0.249 0.992 0.249
B 0.865 0.865 0.135
B 0.229 0.771 0.229
B 0.249 0.008 0.751
B 0.135 0.865 0.865
B 0.000 0.276 0.000
Cu 0.149 0.466 0.851
Cu 0.294 0.706 0.706
Cu 0.294 0.294 0.294
Cu 0.534 0.149 0.149
Cu 0.149 0.149 0.534
Cu 0.851 0.149 0.466
Cu 0.149 0.851 0.466
Cu 0.500 0.500 0.141
Cu 0.706 0.706 0.294
Cu 0.500 0.141 0.500
Cu 0.851 0.466 0.149
Cu 0.149 0.534 0.149
Cu 0.466 0.149 0.851
Cu 0.851 0.534 0.851
Cu 0.500 0.500 0.859
Cu 0.534 0.851 0.851
Cu 0.141 0.500 0.500
Cu 0.466 0.851 0.149
Cu 0.859 0.500 0.500
Cu 0.851 0.851 0.534
Cu 0.706 0.294 0.706
Cu 0.500 0.859 0.500
Al 0.618 0.618 0.618
Al 0.618 0.382 0.382
Al 0.382 0.618 0.382
Al 0.382 0.382 0.618

Computed properties:
raw total energy = -4.77 eV/atom


Compound: DyAl3B4O12
Source: the Materials Project
Functional: PBE-GGA
Structure: optimized geometry

Lattice parameters (Å, degrees): 5.928 5.928 5.928 104.27 104.27 104.27
Fractional positions:
O 0.851 0.149 0.000
O 0.592 0.408 0.000
O 0.529 0.128 0.279
O 0.128 0.279 0.529
O 0.000 0.851 0.149
O 0.872 0.471 0.721
O 0.149 0.000 0.851
O 0.471 0.721 0.872
O 0.408 0.000 0.592
O 0.279 0.529 0.128
O 0.000 0.592 0.408
O 0.721 0.872 0.471
B 0.000 0.443 0.557
B 0.000 0.000 0.000
B 0.557 0.000 0.443
B 0.443 0.557 0.000
Dy 0.500 0.500 0.500
Al 0.056 0.944 0.500
Al 0.500 0.056 0.944
Al 0.944 0.500 0.056

Computed properties:
raw total energy = -7.94 eV/atom


Compound: ErAl3B4O12
Source: the Materials Project
Functional: PBE-GGA
Structure: optimized geometry

Lattice parameters (Å, degrees): 5.918 5.918 5.918 104.31 104.31 104.31
Fractional positions:
O 0.092 0.500 0.908
O 0.500 0.908 0.092
O 0.971 0.370 0.219
O 0.500 0.649 0.351
O 0.219 0.971 0.370
O 0.029 0.781 0.630
O 0.781 0.630 0.029
O 0.370 0.219 0.971
O 0.630 0.029 0.781
O 0.908 0.092 0.500
O 0.351 0.500 0.649
O 0.649 0.351 0.500
B 0.500 0.500 0.500
B 0.943 0.500 0.057
B 0.057 0.943 0.500
B 0.500 0.057 0.943
Al 0.444 0.556 0.000
Al 0.556 0.000 0.444
Al 0.000 0.444 0.556
Er 0.000 0.000 0.000

Computed properties:
raw total energy = -7.93 eV/atom


Compound: YErAl6B8O24
Source: the Materials Project
Functional: PBE-GGA
Structure: optimized geometry

Lattice parameters (Å, degrees): 9.355 5.921 7.260 66.12 90.00 90.00
Fractional positions:
B 0.000 0.500 0.500
B 0.721 0.943 0.222
B 0.721 0.057 0.778
B 0.222 0.057 0.279
B 0.557 0.500 0.500
B 0.057 0.500 0.000
B 0.500 0.500 0.000
B 0.222 0.943 0.721
O 0.799 0.779 0.172
O 0.409 0.500 0.500
O 0.649 0.500 0.000
O 0.149 0.500 0.500
O 0.796 0.909 0.704
O 0.926 0.649 0.574
O 0.125 0.372 0.904
O 0.909 0.500 0.000
O 0.076 0.971 0.703
O 0.076 0.029 0.297
O 0.296 0.909 0.204
O 0.125 0.628 0.096
O 0.426 0.351 0.926
O 0.426 0.649 0.074
O 0.301 0.780 0.671
O 0.799 0.221 0.828
O 0.301 0.220 0.329
O 0.296 0.091 0.796
O 0.624 0.370 0.405
O 0.575 0.028 0.795
O 0.575 0.972 0.205
O 0.624 0.630 0.595
O 0.926 0.351 0.426
O 0.796 0.091 0.296
Al 0.778 0.556 0.778
Al 0.444 0.000 0.000
Al 0.944 0.000 0.500
Al 0.778 0.444 0.222
Al 0.278 0.445 0.722
Al 0.278 0.555 0.278
Y 0.000 0.000 0.000
Er 0.500 0.000 0.500

Computed properties:
raw total energy = -7.98 eV/atom


Compound: EuAl3B4O12
Source: the Materials Project
Functional: PBE-GGA
Structure: optimized geometry

Lattice parameters (Å, degrees): 5.967 5.967 11.285 81.50 81.50 104.11
Fractional positions:
O 0.729 0.644 0.759
O 0.997 0.195 0.061
O 0.507 0.303 0.426
O 0.369 0.131 0.003
O 0.003 0.805 0.939
O 0.423 0.896 0.795
O 0.303 0.819 0.363
O 0.577 0.104 0.205
O 0.131 0.369 0.503
O 0.697 0.181 0.637
O 0.104 0.577 0.705
O 0.271 0.356 0.241
O 0.195 0.997 0.561
O 0.644 0.729 0.259
O 0.303 0.507 0.926
O 0.356 0.271 0.741
O 0.819 0.303 0.863
O 0.805 0.003 0.439
O 0.697 0.493 0.074
O 0.896 0.423 0.295
O 0.493 0.697 0.574
O 0.869 0.631 0.497
O 0.631 0.869 0.997
O 0.181 0.697 0.137
Al 0.194 0.695 0.528
Al 0.588 0.412 0.250
Al 0.806 0.305 0.472
Al 0.695 0.194 0.028
Al 0.305 0.806 0.972
Al 0.412 0.588 0.750
B 0.280 0.223 0.495
B 0.493 0.121 0.722
B 0.720 0.777 0.505
B 0.777 0.720 0.005
B 0.121 0.493 0.222
B 0.507 0.879 0.278
B 0.879 0.507 0.778
B 0.223 0.280 0.995
Eu 0.964 0.036 0.750
Eu 0.036 0.964 0.250

Computed properties:
raw total energy = -8.11 eV/atom